Density functional theory data (GGA+U) for a relaxed Mn3V2O8 crystal.

Output
Offset from the most stable computed form: 0.0085 eV/atom
VASP energy: -0.5703 Ry per atom
Space group: I-4 (82)
ΔE_f: -2.272 eV/atom

Cell lengths 11.134, 11.134, 11.134 Å; angles 142.65, 142.65, 53.86 degrees
Positions (direct):
O: 0.560 0.863 0.301
O: 0.700 0.472 0.778
O: 0.088 0.849 0.348
O: 0.137 0.437 0.696
O: 0.749 0.906 0.744
O: 0.446 0.119 0.774
O: 0.563 0.259 0.699
O: 0.094 0.838 0.843
O: 0.500 0.740 0.652
O: 0.078 0.300 0.772
O: 0.151 0.500 0.239
O: 0.694 0.922 0.222
O: 0.377 0.192 0.269
O: 0.346 0.672 0.226
O: 0.923 0.108 0.731
O: 0.328 0.554 0.674
O: 0.995 0.251 0.157
O: 0.528 0.306 0.228
O: 0.162 0.005 0.256
O: 0.260 0.912 0.761
O: 0.881 0.654 0.326
O: 0.808 0.077 0.185
O: 0.741 0.440 0.304
O: 0.892 0.623 0.815
Mn: 0.883 0.377 0.013
Mn: 0.226 0.226 0.000
Mn: 0.774 0.774 0.000
Mn: 0.478 0.978 0.500
Mn: 0.750 0.250 0.500
Mn: 0.022 0.522 0.500
Mn: 0.364 0.869 0.987
Mn: 0.623 0.636 0.505
Mn: 0.131 0.117 0.495
V: 0.473 0.373 0.595
V: 0.122 0.527 0.900
V: 0.250 0.750 0.500
V: 0.627 0.222 0.100
V: 0.000 0.000 0.000
V: 0.778 0.878 0.405